1.
Zr20Sn13: optimized geometry, GGA-PBE.

Cell lengths 5.912, 14.940, 8.607 Å; angles 90.00, 90.02, 90.00 degrees
Space group P2/m (No. 10)
One atom of each set of equivalent atoms:
Zr (0.000, 0.166, 0.000) [2 per cell]
Zr (0.000, 0.333, 0.500) [2 per cell]
Zr (0.230, 0.500, 0.731) [2 per cell]
Zr (0.231, 0.363, 0.135) [4 per cell]
Zr (0.247, 0.000, 0.250) [2 per cell]
Zr (0.249, 0.122, 0.626) [4 per cell]
Zr (0.500, 0.166, 0.000) [2 per cell]
Zr (0.500, 0.333, 0.500) [2 per cell]
Sn (0.250, 0.192, 0.309) [4 per cell]
Sn (0.252, 0.000, 0.892) [2 per cell]
Sn (0.258, 0.500, 0.385) [2 per cell]
Sn (0.259, 0.302, 0.803) [4 per cell]
Sn (0.500, 0.500, 0.000) [1 per cell]

Computed properties:
Mass density ... 7.36 g/cm3
Uncorrected energy ... -241.73 eV/cell
ΔE_f ... -565 meV/atom
Size of the total moment ... 0.00 μB/cell


2.
CeSi2Au2: optimized geometry, GGA-PBE.

Cell lengths 4.336, 4.336, 10.231 Å; angles 90.00, 90.00, 90.00 degrees
Space group I4/mmm (No. 139)
One atom of each set of equivalent atoms:
Ce (0.000, 0.000, 0.000) [2 per cell]
Si (0.000, 0.000, 0.387) [4 per cell]
Au (0.000, 0.500, 0.250) [4 per cell]

Computed properties:
Mass density ... 10.19 g/cm3
Uncorrected energy ... -52.48 eV/cell
ΔE_f ... -582 meV/atom


> Which of these has the lowest ΔE_f?

CeSi2Au2